No. 1
Below is crystalline BaFe2Se3 at its relaxed geometry, with properties calculated at the GGA-PBE level.

E (MP2020): -5.933 eV per atom
Raw total energy: -5.697 eV per atom
Energy of formation from the pure elements: -1.04 eV/atom

Cell: 12.1604 5.4247 9.1989 Å, 90.00 90.00 90.00°
Closest atoms and distances in Å follow each position.
Positions (direct):
Ba  0.1855  0.2500  0.0205  9 Se 3.38-3.78
Ba  0.3145  0.7500  0.5205  9 Se 3.38-3.78
Ba  0.6855  0.2500  0.4795  9 Se 3.38-3.78
Ba  0.8145  0.7500  0.9795  9 Se 3.38-3.78
Fe  0.0055  0.0001  0.3610  4 Se 2.43-2.47, 3 Fe 2.56-2.71
Fe  0.0055  0.4999  0.3610  4 Se 2.43-2.47, 3 Fe 2.56-2.71
Fe  0.4945  0.9999  0.8610  4 Se 2.43-2.47, 3 Fe 2.56-2.71
Fe  0.4945  0.5001  0.8610  4 Se 2.43-2.47, 3 Fe 2.56-2.71
Fe  0.5055  0.0001  0.1390  4 Se 2.43-2.47, 3 Fe 2.56-2.71
Fe  0.5055  0.4999  0.1390  4 Se 2.43-2.47, 3 Fe 2.56-2.71
Fe  0.9945  0.9999  0.6390  4 Se 2.43-2.47, 3 Fe 2.56-2.71
Fe  0.9945  0.5001  0.6390  4 Se 2.43-2.47, 3 Fe 2.56-2.71
Se  0.0976  0.7500  0.8105  2 Fe 2.43
Se  0.1325  0.2500  0.5094  4 Fe 2.46-2.47
Se  0.1386  0.7500  0.2312  2 Fe 2.43
Se  0.3614  0.2500  0.7312  2 Fe 2.43
Se  0.3675  0.7500  0.0094  4 Fe 2.46-2.47
Se  0.4024  0.2500  0.3105  2 Fe 2.43
Se  0.5976  0.7500  0.6895  2 Fe 2.43
Se  0.6325  0.2500  0.9906  4 Fe 2.46-2.47
Se  0.6386  0.7500  0.2688  2 Fe 2.43
Se  0.8614  0.2500  0.7688  2 Fe 2.43
Se  0.8675  0.7500  0.4906  4 Fe 2.46-2.47
Se  0.9024  0.2500  0.1895  2 Fe 2.43


No. 2
Below is crystalline Ba9Fe4Se16 at its relaxed geometry, with properties calculated at the GGA-PBE level.

E (MP2020): -5.279 eV per atom
Raw total energy: -5.018 eV per atom
Energy of formation from the pure elements: -1.59 eV/atom

Cell: 19.3379 19.3379 9.9672 Å, 104.81 104.81 137.24°
Closest atoms and distances in Å follow each position.
Positions (direct):
Ba  0.0000  0.0000  0.0000  8 Se 3.32-3.46
Ba  0.0664  0.3537  0.5801  8 Se 3.26-3.57
Ba  0.1046  0.3163  0.0808  8 Se 3.29-3.58
Ba  0.1737  0.6058  0.1218  6 Se 3.12-3.45
Ba  0.2194  0.0028  0.3411  6 Se 3.17-3.48
Ba  0.2663  0.1936  0.8389  5 Se 3.13-3.43
Ba  0.3582  0.4228  0.6279  6 Se 3.15-3.47
Ba  0.3942  0.8263  0.8782  6 Se 3.12-3.45
Ba  0.4760  0.0479  0.6611  5 Se 3.13-3.44
Ba  0.5090  0.2213  0.1570  6 Se 3.16-3.49
Ba  0.5772  0.6418  0.3721  6 Se 3.15-3.47
Ba  0.6463  0.9336  0.4199  8 Se 3.26-3.57
Ba  0.6837  0.8954  0.9192  8 Se 3.29-3.58
Ba  0.7495  0.2505  0.5000  8 Se 3.31-3.50
Ba  0.7787  0.4910  0.8430  6 Se 3.16-3.49
Ba  0.8064  0.7337  0.1611  5 Se 3.13-3.43
Ba  0.9521  0.5240  0.3389  5 Se 3.13-3.44
Ba  0.9972  0.7806  0.6589  6 Se 3.17-3.48
Fe  0.0767  0.6641  0.8257  4 Se 2.38-2.41
Fe  0.3359  0.9233  0.1743  4 Se 2.38-2.41
Fe  0.4191  0.3303  0.3349  4 Se 2.38-2.41, 1 Fe 2.65
Fe  0.6697  0.5809  0.6651  4 Se 2.38-2.41, 1 Fe 2.65
Fe  0.7520  0.1652  0.0867  4 Se 2.39-2.42
Fe  0.8348  0.2480  0.9133  4 Se 2.39-2.42
Fe  0.9143  0.0013  0.5864  4 Se 2.38-2.41
Fe  0.9987  0.0857  0.4136  4 Se 2.38-2.41
Se  0.0207  0.1777  0.2716  1 Fe 2.41
Se  0.0814  0.5433  0.7195  1 Fe 2.38
Se  0.1111  0.0730  0.4033  1 Fe 2.38
Se  0.1205  0.2399  0.7382  2 Fe 2.40-2.41
Se  0.1283  0.7468  0.1173  2 Fe 2.41
Se  0.2520  0.7480  0.5000  4 Ba 3.12-3.13
Se  0.2533  0.0979  0.0905  1 Fe 2.38
Se  0.2532  0.8717  0.8827  2 Fe 2.41
Se  0.2964  0.3337  0.2251  1 Fe 2.40
Se  0.3272  0.6006  0.6074  1 Se 2.41
Se  0.3400  0.0879  0.7369  4 Ba 3.16-3.43
Se  0.3507  0.5767  0.1064  1 Se 2.41
Se  0.3994  0.6728  0.3926  1 Se 2.41
Se  0.4233  0.6493  0.8936  1 Se 2.41
Se  0.4567  0.9186  0.2805  1 Fe 2.38
Se  0.4941  0.1521  0.4282  1 Fe 2.40
Se  0.5015  0.3790  0.6219  2 Fe 2.39-2.41
Se  0.5049  0.4951  0.0000  4 Ba 3.13-3.15
Se  0.6210  0.4985  0.3781  2 Fe 2.39-2.41
Se  0.6300  0.0109  0.7631  2 Fe 2.39-2.40
Se  0.6424  0.1815  0.1000  1 Fe 2.39
Se  0.6663  0.7036  0.7749  1 Fe 2.40
Se  0.7300  0.0733  0.2291  1 Fe 2.42
Se  0.7601  0.8795  0.2618  2 Fe 2.40-2.41
Se  0.8185  0.3576  0.9000  1 Fe 2.39
Se  0.8223  0.9793  0.7284  1 Fe 2.41
Se  0.8479  0.5059  0.5718  1 Fe 2.40
Se  0.9021  0.7467  0.9095  1 Fe 2.38
Se  0.9121  0.6600  0.2631  4 Ba 3.16-3.43
Se  0.9267  0.2700  0.7709  1 Fe 2.42
Se  0.9270  0.8889  0.5967  1 Fe 2.38
Se  0.9891  0.3700  0.2369  2 Fe 2.39-2.40


No. 3
Below is crystalline BaFe2Se4 at its relaxed geometry, with properties calculated at the GGA-PBE level.

E (MP2020): -5.653 eV per atom
Raw total energy: -5.384 eV per atom
Energy of formation from the pure elements: -0.96 eV/atom

Cell: 7.9531 7.9531 5.2826 Å, 90.00 90.00 90.00°
Closest atoms and distances in Å follow each position.
Positions (direct):
Ba  0.0000  0.0000  0.0000  12 Se 3.41-3.69
Ba  0.5000  0.5000  0.5000  12 Se 3.41-3.69
Fe  0.0000  0.5000  0.2500  4 Se 2.27
Fe  0.0000  0.5000  0.7500  4 Se 2.27
Fe  0.5000  0.0000  0.2500  4 Se 2.27
Fe  0.5000  0.0000  0.7500  4 Se 2.27
Se  0.1200  0.6996  0.5000  2 Fe 2.27
Se  0.1996  0.3800  0.0000  2 Fe 2.27
Se  0.3004  0.1200  0.5000  2 Fe 2.27
Se  0.3800  0.8004  0.0000  2 Fe 2.27
Se  0.6200  0.1996  0.0000  2 Fe 2.27
Se  0.6996  0.8800  0.5000  2 Fe 2.27
Se  0.8004  0.6200  0.0000  2 Fe 2.27
Se  0.8800  0.3004  0.5000  2 Fe 2.27